(1)
Here is crystalline Na3CuBSO7 at its relaxed geometry from the Materials Project database. Energies are from PBE-GGA.

## Properties
The electronic total energy comes out at -150.72 eV/cell. The crystal system is monoclinic.

Structure (POSCAR):
```
Na3CuBSO7
1.0
5.1274 0.0000 0.0000
0.0000 7.2259 0.0000
-0.1683 0.0000 8.7667
Na Cu B S O
6 2 2 2 14
Direct
0.2423 0.2500 0.0720
0.2492 0.0052 0.7504
0.2492 0.4948 0.7504
0.7508 0.5052 0.2496
0.7508 0.9948 0.2496
0.7577 0.7500 0.9280
0.2230 0.7500 0.3383
0.7770 0.2500 0.6617
0.2647 0.7500 0.0647
0.7353 0.2500 0.9353
0.2930 0.2500 0.4162
0.7070 0.7500 0.5838
0.0281 0.7500 0.1414
0.1555 0.2500 0.5651
0.2246 0.0838 0.3242
0.2246 0.4162 0.3242
0.2843 0.7500 0.9113
0.4165 0.7500 0.5483
0.4761 0.7500 0.1675
0.5239 0.2500 0.8325
0.5835 0.2500 0.4517
0.7157 0.2500 0.0887
0.7754 0.5838 0.6758
0.7754 0.9162 0.6758
0.8445 0.7500 0.4349
0.9719 0.2500 0.8586
```

=====

(2)
Here is crystalline Cs2SnO3 at its relaxed geometry from the Materials Project database. Energies are from PBE-GGA.

## Properties
The electronic total energy comes out at -59.98 eV/cell. The crystal system is orthorhombic.

Structure (POSCAR):
```
Cs2SnO3
1.0
5.7112 -3.9410 0.0000
5.7112 3.9410 0.0000
0.0000 0.0000 5.9284
Cs Sn O
4 2 6
Direct
0.0173 0.3072 0.2500
0.3072 0.0173 0.7500
0.6928 0.9827 0.2500
0.9827 0.6928 0.7500
0.4171 0.5829 0.2500
0.5829 0.4171 0.7500
0.1676 0.8324 0.2500
0.3816 0.3816 0.0000
0.3816 0.3816 0.5000
0.6184 0.6184 0.0000
0.6184 0.6184 0.5000
0.8324 0.1676 0.7500
```